Record 1
A relaxed Na7MgTa3Si6O24 crystal, computed with PBE-GGA.

abc: 9.0983 9.0983 22.4098
angles: 90.00 90.00 120.00
Fractional coordinates of all 123 atoms:
Na  0.0000  0.0000  0.0753
Na  0.0000  0.0000  0.5872
Na  0.0533  0.3521  0.1616
Na  0.2988  0.9467  0.1616
Na  0.3098  0.2854  0.0000
Na  0.3131  0.0339  0.5019
Na  0.3333  0.6667  0.2469
Na  0.3333  0.6667  0.7540
Na  0.3552  0.0021  0.8431
Na  0.3577  0.3555  0.3423
Na  0.6445  0.0022  0.3423
Na  0.6469  0.6448  0.8431
Na  0.6479  0.7012  0.1616
Na  0.6667  0.3333  0.4247
Na  0.6667  0.3333  0.9220
Na  0.7146  0.0244  0.0000
Na  0.7208  0.6869  0.5019
Na  0.9661  0.2792  0.5019
Na  0.9756  0.6902  0.0000
Na  0.9979  0.3531  0.8431
Na  0.9978  0.6423  0.3423
Mg  0.0000  0.0000  0.4430
Mg  0.0000  0.0000  0.9399
Mg  0.3333  0.6667  0.1080
Ta  0.0000  0.0000  0.2353
Ta  0.0000  0.0000  0.7338
Ta  0.3333  0.6667  0.4025
Ta  0.3333  0.6667  0.6134
Ta  0.3333  0.6667  0.9047
Ta  0.6667  0.3333  0.0663
Ta  0.6667  0.3333  0.2751
Ta  0.6667  0.3333  0.5700
Ta  0.6667  0.3333  0.7737
Si  0.0432  0.3751  0.0102
Si  0.0426  0.6649  0.5075
Si  0.2910  0.0013  0.3418
Si  0.2912  0.2905  0.8405
Si  0.3318  0.9568  0.0102
Si  0.3351  0.3777  0.5075
Si  0.3727  0.0418  0.6721
Si  0.3741  0.3309  0.1725
Si  0.6223  0.9574  0.5075
Si  0.6249  0.6682  0.0102
Si  0.6691  0.0431  0.1725
Si  0.6691  0.6273  0.6721
Si  0.7095  0.0007  0.8405
Si  0.7103  0.7090  0.3418
Si  0.9569  0.6259  0.1725
Si  0.9582  0.3309  0.6721
Si  0.9987  0.2898  0.3418
Si  0.9993  0.7088  0.8405
O  0.0130  0.1861  0.0015
O  0.0238  0.8303  0.5047
O  0.0309  0.1972  0.2828
O  0.0325  0.8379  0.7835
O  0.1343  0.6339  0.4466
O  0.1370  0.5007  0.9494
O  0.1399  0.6443  0.1735
O  0.1447  0.5022  0.6663
O  0.1529  0.4573  0.0686
O  0.1621  0.1946  0.7835
O  0.1663  0.9691  0.2828
O  0.1681  0.6851  0.5626
O  0.1697  0.1935  0.5047
O  0.1722  0.4807  0.3445
O  0.1720  0.6897  0.8445
O  0.1732  0.9870  0.0015
O  0.1876  0.0270  0.6787
O  0.1885  0.1532  0.1795
O  0.2209  0.0465  0.3997
O  0.2247  0.1781  0.8996
O  0.3045  0.8471  0.0686
O  0.3085  0.8278  0.3445
O  0.3103  0.4823  0.8445
O  0.3149  0.4830  0.5626
O  0.3557  0.4955  0.1735
O  0.3575  0.8553  0.6663
O  0.3637  0.8630  0.9494
O  0.3661  0.5004  0.4466
O  0.4678  0.2977  0.1150
O  0.4712  0.1625  0.6133
O  0.4861  0.1632  0.3313
O  0.4864  0.3220  0.8294
O  0.4927  0.1383  0.7301
O  0.4927  0.3464  0.2312
O  0.4978  0.6425  0.6663
O  0.4993  0.6363  0.9494
O  0.4996  0.8657  0.4466
O  0.5045  0.8601  0.1735
O  0.5130  0.3693  0.5107
O  0.5145  0.1452  0.0114
O  0.5170  0.8319  0.5626
O  0.5177  0.8280  0.8445
O  0.5193  0.6915  0.3445
O  0.5427  0.6955  0.0686
O  0.6307  0.1437  0.5107
O  0.6307  0.4855  0.0114
O  0.6456  0.5073  0.7301
O  0.6536  0.1464  0.2312
O  0.6771  0.5139  0.3313
O  0.6780  0.1644  0.8294
O  0.6913  0.5288  0.6133
O  0.7023  0.1701  0.1150
O  0.8028  0.8337  0.2828
O  0.8054  0.9675  0.7835
O  0.8065  0.9762  0.5047
O  0.8139  0.8268  0.0015
O  0.8219  0.0467  0.8996
O  0.8256  0.7791  0.3997
O  0.8299  0.5322  0.1150
O  0.8356  0.5136  0.8294
O  0.8375  0.3087  0.6133
O  0.8368  0.3229  0.3313
O  0.8393  0.8124  0.6787
O  0.8468  0.0353  0.1795
O  0.8536  0.5073  0.2312
O  0.8548  0.3693  0.0114
O  0.8563  0.4870  0.5107
O  0.8617  0.3544  0.7301
O  0.9535  0.1744  0.3997
O  0.9533  0.7753  0.8996
O  0.9647  0.8115  0.1795
O  0.9730  0.1607  0.6787

Output
Raw total energy: -7.418 eV per atom
Energy of formation: -2.997 eV/atom


Record 2
A relaxed Na9MgTa5Si9O36 crystal, computed with PBE-GGA.

abc: 15.7577 27.1463 9.0641
angles: 89.75 125.03 90.26
Fractional coordinates of all 240 atoms:
O  0.6441  0.0461  0.4260
Na  0.9883  0.1976  0.7240
Si  0.4984  0.4857  0.7358
Na  0.4883  0.6976  0.7240
O  0.9170  0.7124  0.2450
Ta  0.3916  0.9152  0.4319
O  0.6451  0.3081  0.2351
O  0.5377  0.9423  0.5655
O  0.2453  0.8929  0.2694
Na  0.9880  0.8626  0.7180
O  0.0697  0.3095  0.4255
Na  0.2592  0.5893  0.0183
O  0.2515  0.1103  0.7670
Si  0.6453  0.9634  0.7446
Ta  0.6077  0.7503  0.5743
O  0.3577  0.7228  0.0862
O  0.2340  0.5600  0.2415
O  0.0434  0.1105  0.5622
Ta  0.8895  0.2517  0.9314
Si  0.5026  0.5137  0.2484
Na  0.0005  0.1247  0.2754
O  0.6445  0.6405  0.2357
Ta  0.6073  0.2506  0.0609
O  0.3469  0.6914  0.7708
O  0.2562  0.7302  0.2424
Si  0.3552  0.7043  0.2564
O  0.1452  0.1190  0.9240
Si  0.8527  0.1318  0.7484
O  0.1367  0.8807  0.4176
O  0.1474  0.5240  0.7367
O  0.7453  0.3929  0.2694
O  0.9182  0.0478  0.2450
O  0.1451  0.8081  0.2351
O  0.4627  0.2748  0.9344
Na  0.0027  0.5378  0.7549
O  0.8429  0.8111  0.2473
O  0.1508  0.4731  0.2447
O  0.6452  0.6190  0.9240
O  0.9197  0.6832  0.5659
O  0.9649  0.4431  0.9375
Na  0.4880  0.3626  0.7180
O  0.4209  0.7827  0.7584
O  0.2470  0.4429  0.7583
O  0.4227  0.4486  0.7618
O  0.4233  0.8837  0.2633
Ta  0.1077  0.2503  0.5743
Na  0.5005  0.6247  0.2754
O  0.7581  0.1024  0.7426
Si  0.8562  0.8693  0.2557
O  0.1485  0.8590  0.7402
Na  0.3124  0.1912  0.6799
O  0.7515  0.6103  0.7670
O  0.4181  0.5158  0.5560
Na  0.2469  0.9145  0.9977
O  0.6420  0.7140  0.4241
Si  0.8552  0.2043  0.2564
O  0.7339  0.7266  0.2463
O  0.2583  0.0642  0.2385
Na  0.3159  0.5253  0.6839
Na  0.7079  0.1449  0.2868
O  0.6508  0.9731  0.2447
O  0.2473  0.7758  0.7635
Na  0.8124  0.6912  0.6799
Si  0.6400  0.7013  0.2416
Si  0.0005  0.3462  0.2514
Na  0.7482  0.2564  0.5023
O  0.2339  0.2266  0.2463
O  0.0861  0.3803  0.2454
O  0.8511  0.4755  0.2654
Si  0.9984  0.9857  0.7358
O  0.0688  0.6888  0.9253
O  0.3644  0.9514  0.5853
O  0.5697  0.8095  0.4255
Si  0.1442  0.5343  0.2459
O  0.5820  0.7851  0.7403
O  0.8576  0.5486  0.0813
Na  0.7514  0.9145  0.5068
Ta  0.6027  0.5814  0.0587
O  0.0296  0.5495  0.0683
O  0.6361  0.2842  0.9090
Si  0.8556  0.4634  0.7538
Si  0.3546  0.0358  0.2558
O  0.1434  0.4507  0.9221
O  0.5699  0.1418  0.4241
O  0.9291  0.6142  0.7739
O  0.3576  0.0486  0.0813
O  0.6434  0.9507  0.9221
Si  0.8549  0.7977  0.7526
Si  0.3549  0.2977  0.7526
O  0.4640  0.0565  0.4367
Ta  0.1073  0.7506  0.0609
O  0.8456  0.1454  0.2519
O  0.9640  0.5565  0.4367
Ta  0.1027  0.0814  0.0587
O  0.0683  0.3551  0.9313
Mg  0.8986  0.0829  0.4376
Si  0.0008  0.6534  0.7446
O  0.2573  0.3967  0.2426
O  0.7583  0.5642  0.2385
O  0.0845  0.9502  0.7433
O  0.6474  0.0240  0.7367
Na  0.7555  0.7543  0.0146
Ta  0.8916  0.4152  0.4319
Na  0.2482  0.7564  0.5023
O  0.3429  0.3111  0.2473
O  0.9181  0.0158  0.5560
Ta  0.8931  0.5822  0.9327
Na  0.9993  0.4641  0.2525
O  0.4649  0.9431  0.9375
Si  0.3527  0.6318  0.7484
Na  0.2421  0.0764  0.4972
Mg  0.3977  0.2492  0.4376
O  0.3511  0.9755  0.2654
O  0.9233  0.3837  0.2633
O  0.9426  0.6407  0.0771
O  0.8577  0.2228  0.0862
O  0.8531  0.7891  0.5766
O  0.2581  0.6024  0.7426
Na  0.7054  0.8078  0.2921
O  0.5845  0.4502  0.7433
O  0.9627  0.7748  0.9344
O  0.9227  0.9486  0.7618
Si  0.8546  0.5358  0.2558
O  0.9622  0.1086  0.9280
O  0.4647  0.7245  0.4409
O  0.4619  0.3916  0.4399
O  0.0296  0.2221  0.0677
Ta  0.1082  0.9172  0.5704
O  0.3491  0.3578  0.7748
O  0.7573  0.8967  0.2426
O  0.7470  0.9429  0.7583
O  0.4622  0.6086  0.9280
Ta  0.3967  0.4172  0.9354
Si  0.5008  0.1534  0.7446
O  0.9410  0.9780  0.0692
Na  0.7592  0.0893  0.0183
Si  0.1449  0.1305  0.7427
O  0.5836  0.1168  0.7410
O  0.7581  0.7698  0.7418
O  0.6485  0.3590  0.7402
Na  0.2514  0.4145  0.5068
Ta  0.6081  0.0845  0.5723
O  0.5867  0.5475  0.2395
Si  0.5005  0.8462  0.2514
O  0.3602  0.3900  0.0879
O  0.2581  0.2698  0.7418
O  0.1420  0.2140  0.4241
Na  0.7421  0.5764  0.4972
O  0.4291  0.1142  0.7739
O  0.7340  0.0600  0.2415
O  0.4197  0.1832  0.5659
O  0.9365  0.3127  0.0709
O  0.8495  0.5238  0.7587
O  0.3531  0.2891  0.5766
Si  0.1431  0.8683  0.2473
O  0.1361  0.7842  0.9090
Si  0.1415  0.7977  0.7330
O  0.8469  0.1914  0.7708
O  0.5296  0.7221  0.0677
Si  0.6415  0.2977  0.7330
Si  0.3556  0.9634  0.7538
O  0.7473  0.2758  0.7635
Na  0.3187  0.4853  0.2534
O  0.8644  0.4514  0.5853
O  0.0881  0.7124  0.2419
O  0.4182  0.5478  0.2450
O  0.8491  0.8578  0.7748
O  0.1441  0.5461  0.4260
O  0.5627  0.5238  0.9117
O  0.2572  0.9378  0.7366
O  0.8502  0.1216  0.5724
Na  0.4993  0.9641  0.2525
O  0.4356  0.8566  0.5781
Si  0.6431  0.3683  0.2473
Si  0.3562  0.3693  0.2557
Si  0.5020  0.1798  0.2479
O  0.0836  0.6168  0.7410
O  0.0627  0.0238  0.9117
Si  0.6442  0.0343  0.2459
O  0.4426  0.1407  0.0771
O  0.1445  0.1405  0.2357
Si  0.0020  0.6798  0.2479
Si  0.0026  0.0137  0.2484
O  0.3495  0.0238  0.7587
Mg  0.3986  0.5829  0.4376
O  0.3502  0.6216  0.5724
Ta  0.3931  0.0822  0.9327
O  0.9209  0.2827  0.7584
O  0.1524  0.1919  0.7422
O  0.0820  0.2851  0.7403
O  0.4410  0.4780  0.0692
Na  0.3088  0.1528  0.2427
O  0.7572  0.4378  0.7366
O  0.7562  0.2302  0.2424
O  0.0699  0.6418  0.4241
Na  0.7469  0.4145  0.9977
O  0.5881  0.2124  0.2419
O  0.5402  0.2781  0.5530
Na  0.0003  0.7895  0.2697
Na  0.8088  0.6528  0.2427
O  0.5367  0.3889  0.0638
Ta  0.6062  0.9156  0.0677
Si  0.5006  0.8195  0.7517
Ta  0.1081  0.5845  0.5723
O  0.0402  0.7781  0.5530
Na  0.8187  0.9853  0.2534
Si  0.0006  0.3195  0.7517
Ta  0.6082  0.4172  0.5704
O  0.9647  0.2245  0.4409
O  0.0367  0.8889  0.0638
Na  0.8159  0.0253  0.6839
O  0.5861  0.8803  0.2454
O  0.3456  0.6454  0.2519
O  0.5662  0.4762  0.4233
O  0.5434  0.6105  0.5622
O  0.0377  0.4423  0.5655
Na  0.2079  0.6449  0.2868
O  0.8602  0.8900  0.0879
O  0.4365  0.8127  0.0709
Na  0.2555  0.2543  0.0146
O  0.5688  0.1888  0.9253
Si  0.6449  0.6305  0.7427
O  0.0662  0.9762  0.4233
Ta  0.3895  0.7517  0.9314
O  0.9356  0.3566  0.5781
O  0.5296  0.0495  0.0683
Si  0.1453  0.4634  0.7446
O  0.6524  0.6919  0.7422
Si  0.1400  0.2013  0.2416
O  0.5683  0.8551  0.9313
Ta  0.8967  0.9172  0.9354
O  0.6367  0.3807  0.4176
Na  0.2054  0.3078  0.2921
Mg  0.8977  0.7492  0.4376
O  0.0867  0.0475  0.2395
O  0.4170  0.2124  0.2450
Na  0.5003  0.2895  0.2697
Na  0.5027  0.0378  0.7549
O  0.9619  0.8916  0.4399
Ta  0.1062  0.4156  0.0677

Output
Raw total energy: -7.637 eV per atom
Energy of formation: -3.053 eV/atom


Record 3
A relaxed Na2Mg3Zn2Si12O30 crystal, computed with PBE-GGA.

abc: 10.2894 10.2894 14.4125
angles: 90.00 90.00 60.00
Fractional coordinates of all 98 atoms:
Na  0.0000  0.0000  0.0000
Na  0.0001  0.9999  0.5000
Na  0.3333  0.3333  0.7500
Na  0.6667  0.6667  0.2500
Mg  0.0000  0.4996  0.5000
Mg  0.3333  0.3333  0.0036
Mg  0.3333  0.3336  0.4962
Mg  0.5004  0.0000  0.5000
Mg  0.6664  0.6667  0.5038
Mg  0.6667  0.6667  0.9964
Zn  0.0000  0.5006  0.0000
Zn  0.4994  0.0000  0.0000
Zn  0.5005  0.4995  0.0000
Zn  0.5004  0.4996  0.5000
Si  0.1127  0.2366  0.8607
Si  0.1136  0.2365  0.6394
Si  0.1144  0.6478  0.3600
Si  0.1136  0.6485  0.1399
Si  0.2363  0.6507  0.6394
Si  0.2366  0.6506  0.8607
Si  0.2379  0.1136  0.1399
Si  0.2379  0.1146  0.3601
Si  0.3494  0.7634  0.1393
Si  0.3493  0.7637  0.3606
Si  0.3515  0.8864  0.8601
Si  0.3522  0.8856  0.6400
Si  0.6485  0.2380  0.1399
Si  0.6486  0.2377  0.3600
Si  0.6499  0.1134  0.6394
Si  0.6505  0.1128  0.8607
Si  0.7623  0.3514  0.6400
Si  0.7620  0.3515  0.8601
Si  0.7634  0.8873  0.1393
Si  0.7635  0.8864  0.3606
Si  0.8854  0.7621  0.6399
Si  0.8864  0.7621  0.8601
Si  0.8872  0.3495  0.1393
Si  0.8866  0.3501  0.3606
O  0.0573  0.7261  0.6158
O  0.0580  0.2159  0.1159
O  0.0578  0.2168  0.3842
O  0.0576  0.7268  0.8841
O  0.1283  0.6080  0.2500
O  0.1348  0.2634  0.7500
O  0.1546  0.5050  0.4236
O  0.1562  0.3414  0.5795
O  0.1561  0.5041  0.0768
O  0.1579  0.3405  0.9202
O  0.2154  0.0576  0.8841
O  0.2163  0.0575  0.6158
O  0.2159  0.7262  0.1160
O  0.2158  0.7265  0.3839
O  0.2634  0.6017  0.7500
O  0.2637  0.1283  0.2500
O  0.2735  0.7842  0.6161
O  0.2732  0.9424  0.1159
O  0.2738  0.7841  0.8840
O  0.2739  0.9427  0.3842
O  0.3405  0.1547  0.4237
O  0.3399  0.1561  0.0768
O  0.3404  0.5015  0.5799
O  0.3405  0.5014  0.9201
O  0.3920  0.8717  0.7500
O  0.3983  0.7366  0.2500
O  0.4950  0.8454  0.5764
O  0.4959  0.8439  0.9232
O  0.4985  0.6596  0.4201
O  0.4986  0.6595  0.0799
O  0.5014  0.1580  0.9202
O  0.5022  0.1563  0.5795
O  0.5041  0.3399  0.0769
O  0.5042  0.3398  0.4232
O  0.6015  0.1350  0.7500
O  0.6080  0.2639  0.2501
O  0.6595  0.8421  0.0798
O  0.6586  0.8438  0.4205
O  0.6602  0.4958  0.5768
O  0.6600  0.4959  0.9231
O  0.7253  0.0578  0.3843
O  0.7261  0.0580  0.1160
O  0.7270  0.2155  0.6160
O  0.7268  0.2155  0.8841
O  0.7361  0.3920  0.7499
O  0.7366  0.8652  0.2500
O  0.7832  0.9422  0.6158
O  0.7845  0.2732  0.1159
O  0.7841  0.9420  0.8841
O  0.7845  0.2730  0.3840
O  0.8420  0.4986  0.0798
O  0.8437  0.4978  0.4205
O  0.8439  0.6601  0.9232
O  0.8453  0.6595  0.5763
O  0.8650  0.3985  0.2500
O  0.8717  0.7363  0.7500
O  0.9420  0.2739  0.8840
O  0.9422  0.2747  0.6157
O  0.9425  0.7837  0.3842
O  0.9424  0.7846  0.1159

Output
Raw total energy: -7.214 eV per atom
Energy of formation: -3.074 eV/atom